This record from the Materials Project database describes crystalline BaH8C6N6O8 at its relaxed geometry. The functional is PBE-GGA.

abc: 7.444 9.087 9.521
angles: 84.91 82.32 76.60
Atoms (fractional coordinates):
H 0.253 0.401 0.812
C 0.939 0.808 0.686
C 0.581 0.615 0.775
O 0.512 0.315 0.122
C 0.250 0.014 0.470
H 0.568 0.158 0.636
H 0.747 0.599 0.188
H 0.950 0.799 0.462
H 0.160 0.576 0.551
O 0.936 0.301 0.686
C 0.362 0.391 0.484
H 0.444 0.772 0.626
C 0.750 0.986 0.530
N 0.774 0.481 0.538
O 0.295 0.968 0.591
H 0.311 0.356 0.963
O 0.395 0.338 0.605
N 0.330 0.940 0.351
Ba 0.123 0.732 0.999
N 0.226 0.519 0.462
C 0.723 0.013 0.784
O 0.177 0.041 0.881
C 0.419 0.385 0.225
N 0.715 0.488 0.789
N 0.670 0.060 0.649
H 0.432 0.842 0.364
O 0.064 0.699 0.314
Ba 0.877 0.268 0.001
N 0.144 0.115 0.200
H 0.285 0.021 0.935
N 0.457 0.328 0.363
H 0.222 0.037 0.779
H 0.778 0.963 0.221
C 0.638 0.609 0.516
N 0.885 0.858 0.551
O 0.794 0.590 0.087
O 0.066 0.689 0.697
O 0.823 0.959 0.119
N 0.856 0.885 0.800
N 0.285 0.512 0.211
O 0.605 0.662 0.395
N 0.115 0.142 0.449
H 0.556 0.228 0.374
C 0.811 0.420 0.674
O 0.206 0.410 0.913
O 0.705 0.032 0.409
O 0.488 0.685 0.878
C 0.061 0.192 0.314
O 0.934 0.311 0.303
N 0.543 0.672 0.637
H 0.050 0.201 0.538
H 0.715 0.979 0.065
C 0.277 0.987 0.216
O 0.646 0.094 0.885
O 0.354 0.906 0.115
C 0.189 0.580 0.326
H 0.689 0.644 0.037
H 0.840 0.424 0.449

Results
The calculation puts the formation enthalpy at 0 K at -1.083 eV/atom.

This record from the Materials Project database describes crystalline Na2GeH16Se3O8 at its relaxed geometry. The functional is PBE-GGA.

abc: 11.881 9.938 12.312
angles: 87.20 90.00 90.00
Atoms (fractional coordinates):
H 0.962 0.773 0.518
O 0.332 0.815 0.185
O 0.439 0.645 0.800
H 0.324 0.641 0.248
H 0.466 0.761 0.127
O 0.939 0.355 0.700
Se 0.044 0.019 0.140
O 0.832 0.185 0.315
H 0.932 0.341 0.780
Se 0.456 0.019 0.640
O 0.665 0.475 0.972
H 0.127 0.273 0.907
H 0.058 0.090 0.654
H 0.625 0.432 0.649
H 0.442 0.090 0.154
O 0.514 0.710 0.079
H 0.374 0.243 0.671
O 0.107 0.145 0.606
H 0.302 0.847 0.114
O 0.986 0.710 0.579
H 0.279 0.166 0.385
H 0.762 0.427 0.471
O 0.607 0.855 0.894
H 0.397 0.719 0.832
Se 0.221 0.934 0.428
H 0.802 0.153 0.386
H 0.161 0.082 0.575
H 0.126 0.243 0.171
H 0.701 0.130 0.758
H 0.221 0.166 0.885
Se 0.058 0.653 0.028
H 0.558 0.910 0.846
O 0.355 0.339 0.674
O 0.393 0.145 0.106
Se 0.558 0.347 0.472
O 0.836 0.449 0.217
H 0.897 0.281 0.668
O 0.336 0.551 0.283
H 0.462 0.227 0.982
H 0.839 0.918 0.425
H 0.874 0.757 0.829
O 0.645 0.661 0.326
O 0.168 0.815 0.685
H 0.299 0.870 0.242
H 0.894 0.406 0.462
O 0.201 0.262 0.870
H 0.966 0.239 0.373
Na 0.661 0.566 0.147
H 0.068 0.659 0.220
Na 0.839 0.566 0.647
H 0.738 0.427 0.971
H 0.125 0.568 0.851
H 0.626 0.757 0.329
Na 0.339 0.434 0.853
O 0.668 0.185 0.815
O 0.164 0.551 0.783
H 0.262 0.573 0.029
H 0.799 0.130 0.258
H 0.339 0.082 0.075
H 0.394 0.594 0.038
O 0.701 0.738 0.630
H 0.373 0.273 0.407
Se 0.721 0.066 0.072
H 0.538 0.773 0.018
H 0.698 0.153 0.886
O 0.145 0.339 0.174
O 0.165 0.525 0.528
H 0.603 0.281 0.168
Se 0.779 0.066 0.572
Ge 0.595 0.118 0.515
H 0.661 0.918 0.925
O 0.835 0.475 0.472
Na 0.149 0.357 0.679
Se 0.942 0.347 0.972
Na 0.161 0.434 0.353
H 0.601 0.621 0.388
H 0.779 0.834 0.115
H 0.721 0.834 0.615
H 0.942 0.910 0.346
H 0.176 0.641 0.748
Na 0.351 0.357 0.179
H 0.432 0.659 0.720
Se 0.956 0.981 0.860
H 0.899 0.621 0.888
Se 0.442 0.653 0.528
H 0.606 0.406 0.962
H 0.399 0.379 0.612
H 0.568 0.341 0.280
Ge 0.405 0.882 0.485
O 0.664 0.449 0.717
H 0.627 0.727 0.593
O 0.855 0.661 0.826
H 0.038 0.227 0.482
H 0.375 0.568 0.351
O 0.561 0.355 0.200
H 0.873 0.727 0.093
O 0.799 0.738 0.130
Se 0.544 0.981 0.360
O 0.486 0.290 0.921
H 0.106 0.594 0.538
H 0.534 0.239 0.873
O 0.335 0.525 0.028
Na 0.649 0.643 0.821
H 0.101 0.379 0.112
H 0.103 0.719 0.332
H 0.201 0.870 0.742
O 0.893 0.855 0.394
O 0.061 0.645 0.300
H 0.034 0.761 0.627
H 0.824 0.359 0.252
H 0.238 0.573 0.529
O 0.299 0.262 0.370
Ge 0.905 0.118 0.015
O 0.014 0.290 0.421
H 0.676 0.359 0.752
Se 0.279 0.934 0.928
H 0.198 0.847 0.614
H 0.875 0.432 0.149
Ge 0.095 0.882 0.985
Na 0.851 0.643 0.321

Results
The calculation puts the formation enthalpy at 0 K at -1.157 eV/atom.

This record from the Materials Project database describes crystalline MgCu3Sb4O12 at its relaxed geometry. The functional is PBE-GGA.

abc: 6.762 6.762 6.762
angles: 109.47 109.47 109.47
Atoms (fractional coordinates):
Mg 0.000 0.000 0.000
O 0.298 0.127 0.828
O 0.530 0.828 0.702
O 0.702 0.530 0.828
O 0.470 0.172 0.298
Cu 0.000 0.500 0.500
O 0.828 0.298 0.127
O 0.127 0.828 0.298
Sb 0.500 0.000 0.000
O 0.873 0.172 0.702
O 0.172 0.298 0.470
Sb 0.000 0.000 0.500
Cu 0.500 0.000 0.500
O 0.298 0.470 0.172
O 0.702 0.873 0.172
Sb 0.500 0.500 0.500
O 0.828 0.702 0.530
Sb 0.000 0.500 0.000
Cu 0.500 0.500 0.000
O 0.172 0.702 0.873

Results
The calculation puts the formation enthalpy at 0 K at -1.531 eV/atom.

This record from the Materials Project database describes crystalline TbSi2Rh2 at its relaxed geometry. The functional is PBE-GGA.

abc: 5.777 5.777 5.777
angles: 138.73 138.73 59.79
Atoms (fractional coordinates):
Rh 0.250 0.750 0.500
Tb 0.000 0.000 0.000
Si 0.378 0.378 0.000
Si 0.622 0.622 0.000
Rh 0.750 0.250 0.500

Results
The calculation puts the formation enthalpy at 0 K at -1.122 eV/atom.